An optimized crystal structure of Na3Mg5TaS9O36, computed with GGA-PBE.

Results
DFT total energy: -6.304 eV/atom
energy relative to the elements: -2.33 eV per atom

Cell: 8.6634 8.6634 22.5913 Å, 90.00 90.00 120.00°
Closest atoms and distances in Å follow each position.
Space group P3c1 (No. 158)
Symmetry-distinct sites (fractional):
1 Na 0.0000 0.0000 0.0000  6 O 2.49-2.71
2 Na 0.3333 0.6667 0.1535  3 O 2.43
3 Na 0.6667 0.3333 0.3286  6 O 2.54-2.57
4 Mg 0.0000 0.0000 0.1410  6 O 2.04-2.11
5 Mg 0.0000 0.0000 0.3471  6 O 2.03-2.07
6 Mg 0.3333 0.6667 0.0170  6 O 2.04-2.06
7 Mg 0.6667 0.3333 0.1758  6 O 1.99-2.16
8 Mg 0.6667 0.3333 0.4809  6 O 2.00-2.20
9 Ta 0.3333 0.6667 0.3090  6 O 1.97-1.99
10 S 0.0407 0.3730 0.4139  4 O 1.45-1.57
11 S 0.2922 0.0060 0.7458  4 O 1.45-1.57
12 S 0.3737 0.0410 0.0786  4 O 1.48-1.49
13 O 0.0256 0.1990 0.4038  1 S 1.46
14 O 0.0339 0.2165 0.6933  1 S 1.45
15 O 0.1349 0.4908 0.3579  1 S 1.57
16 O 0.1390 0.4937 0.0728  1 S 1.49
17 O 0.1526 0.4595 0.4646  1 S 1.45
18 O 0.1635 0.4753 0.7550  1 S 1.57
19 O 0.1941 0.0219 0.0847  1 S 1.49
20 O 0.2111 0.0264 0.7999  1 S 1.47
21 O 0.4545 0.1482 0.0249  1 S 1.48
22 O 0.4737 0.1562 0.7399  1 S 1.46
23 O 0.4811 0.1213 0.1324  1 S 1.48
24 O 0.4963 0.1335 0.4151  1 S 1.47